*w*
MgNbVO4 after structural relaxation, computed with PBE+U.

Cell and atoms, written as extended XYZ:
```
7
Lattice="-2.199 -1.702 -0.964 -0.487 5.986 -0.473 4.480 1.440 -3.773" Properties=species:S:1:pos:R:3 pbc="T T T"
Mg -0.381 5.044 -3.282
Nb -0.137 2.051 -3.045
V 2.956 6.614 -4.687
O 0.228 0.698 -1.495
O 1.973 2.038 -3.344
O -0.050 3.766 -1.783
O 1.694 5.105 -3.633
```

## Properties
- Space group: P2/m, No. 10
- Crystal system: monoclinic
- Volume: 81.43 Å³/cell

***

*x*
MgNbVO4 after structural relaxation, computed with PBE+U.

Cell and atoms, written as extended XYZ:
```
7
Lattice="5.370 -0.124 -0.011 2.214 4.889 -0.008 -3.785 -2.377 2.971" Properties=species:S:1:pos:R:3 pbc="T T T"
Mg 0.920 2.446 1.379
Nb 3.615 2.395 2.851
V 2.524 -0.043 1.378
O 2.795 3.623 1.375
O -2.164 -1.241 2.869
O 4.437 1.160 1.372
O 1.817 1.262 2.859
```

## Properties
- Space group: Imm2, No. 44
- Crystal system: orthorhombic
- Volume: 78.55 Å³/cell

***

*y*
MgNbVO4 after structural relaxation, computed with PBE+U.

Cell and atoms, written as extended XYZ:
```
7
Lattice="3.002 -0.027 0.071 -2.930 -5.311 1.629 -3.121 -0.099 -5.485" Properties=species:S:1:pos:R:3 pbc="T T T"
Mg -3.002 -1.079 -4.068
Nb -0.071 -2.894 -1.664
V -1.339 -4.966 1.038
O 0.001 -1.126 -0.615
O -1.525 -1.832 -3.007
O -1.608 -3.629 -0.457
O -2.970 -4.412 -2.991
```

## Properties
- Space group: P1, No. 1
- Crystal system: triclinic
- Volume: 87.37 Å³/cell

***

According to the calculations, the structures order from most to least stable as *x*, *w*, *y*.

***

*w*
MgNbVO4 after structural relaxation, computed with PBE+U.

Cell and atoms, written as extended XYZ:
```
7
Lattice="-0.347 3.608 -3.970 -3.789 3.716 0.855 4.050 -1.952 2.947" Properties=species:S:1:pos:R:3 pbc="T T T"
Mg -0.870 2.655 1.147
Nb -4.111 7.282 -3.097
V 0.822 2.652 -1.287
O -1.897 4.474 0.373
O -0.957 1.695 -0.721
O 0.131 0.882 1.901
O -3.131 5.546 -2.359
```

## Properties
- Space group: Imm2, No. 44
- Crystal system: orthorhombic
- Volume: 78.79 Å³/cell

***

*x*
MgNbVO4 after structural relaxation, computed with PBE+U.

Cell and atoms, written as extended XYZ:
```
7
Lattice="-0.556 -4.695 2.083 4.506 -2.481 -0.475 -1.086 4.682 1.894" Properties=species:S:1:pos:R:3 pbc="T T T"
Mg 2.018 -3.666 0.822
Nb 0.040 -0.072 0.016
V 0.207 -1.873 2.407
O -0.777 -0.086 2.006
O 1.011 -1.836 0.411
O 1.746 1.036 0.724
O 3.020 -5.486 1.229
```

## Properties
- Space group: Imm2, No. 44
- Crystal system: orthorhombic
- Volume: 77.37 Å³/cell

***

According to the calculations, the structures order from most to least stable as *w*, *x*.

***

*w*
MgNb2V2O8 after structural relaxation, computed with PBE+U.

Cell and atoms, written as extended XYZ:
```
13
Lattice="5.035 -5.769 0.111 -0.717 -7.411 1.795 -2.952 5.777 -4.777" Properties=species:S:1:pos:R:3 pbc="T T T"
Mg -0.267 -7.192 0.598
Nb 3.348 -8.628 0.082
Nb -2.066 1.484 -2.990
V 1.304 -2.390 -0.821
V 0.041 -4.949 -2.059
O 0.991 -3.145 -2.808
O 3.133 -3.352 -1.129
O -0.294 0.801 -2.936
O -0.607 -1.405 -0.572
O 1.934 -5.856 -2.606
O 1.585 -7.993 0.322
O -1.839 -3.915 -1.721
O 0.357 -4.117 -0.123
```

## Properties
- Space group: C2, No. 5
- Crystal system: monoclinic
- Volume: 173.46 Å³/cell

***

*x*
MgNb2V2O8 after structural relaxation, computed with PBE+U.

Cell and atoms, written as extended XYZ:
```
13
Lattice="-2.285 -2.839 6.367 -6.061 1.783 3.724 2.198 -2.387 -6.984" Properties=species:S:1:pos:R:3 pbc="T T T"
Mg -3.715 -1.774 4.311
Nb -5.560 -2.006 6.541
Nb -0.571 -1.434 -3.456
V -0.107 -1.317 -0.052
V -4.637 -1.948 1.461
O -2.916 -3.226 1.036
O -1.920 -2.760 3.733
O -0.428 -2.561 -1.806
O -1.672 -0.017 -0.253
O -4.608 -3.348 3.206
O -5.538 -0.952 5.004
O -4.684 -0.459 -0.139
O -3.598 -0.547 2.578
```

## Properties
- Space group: C2, No. 5
- Crystal system: monoclinic
- Volume: 172.24 Å³/cell

***

*y*
MgNb2V2O8 after structural relaxation, computed with PBE+U.

Cell and atoms, written as extended XYZ:
```
13
Lattice="6.286 0.000 0.000 3.143 4.666 -0.894 3.143 0.779 4.968" Properties=species:S:1:pos:R:3 pbc="T T T"
Mg 9.498 5.056 1.590
Nb 3.215 2.336 2.352
Nb 6.358 3.109 1.719
V 1.640 0.006 0.000
V 11.068 5.439 4.073
O 3.216 0.955 1.025
O 5.001 1.896 3.057
O 4.574 3.560 1.021
O 6.359 4.490 3.048
O 6.348 1.285 0.724
O 7.717 1.885 3.052
O 8.143 3.550 1.016
O 9.490 4.159 3.350
```

## Properties
- Space group: C2, No. 5
- Crystal system: monoclinic
- Volume: 150.08 Å³/cell

***

According to the calculations, the structures order from most to least stable as *w*, *y*, *x*.

***

*w*
MgNb4VO12 after structural relaxation, computed with PBE+U.

Cell and atoms, written as extended XYZ:
```
18
Lattice="-4.855 -2.532 -1.702 -7.358 -5.164 6.906 -8.864 -0.662 4.562" Properties=species:S:1:pos:R:3 pbc="T T T"
Mg -18.191 -7.694 9.139
Nb -8.850 -0.795 4.484
Nb -8.520 -5.024 1.791
Nb -14.251 -6.737 8.198
Nb -10.502 -4.183 4.960
V -11.384 -6.101 7.741
O -4.896 -2.431 2.053
O -7.345 -1.409 3.191
O -9.286 -2.432 5.192
O -7.646 -3.278 0.887
O -8.673 -5.251 5.460
O -9.559 -3.970 2.960
O -11.137 -4.238 6.738
O -11.870 -3.056 4.136
O -12.920 -4.943 8.787
O -11.096 -5.895 4.482
O -13.014 -6.692 6.513
O -15.606 -5.695 7.514
```

## Properties
- Space group: P1, No. 1
- Crystal system: triclinic
- Volume: 231.79 Å³/cell

***

*x*
MgNb4VO12 after structural relaxation, computed with PBE+U.

Cell and atoms, written as extended XYZ:
```
18
Lattice="5.654 -0.040 -0.023 6.302 9.391 -0.024 6.308 6.375 4.312" Properties=species:S:1:pos:R:3 pbc="T T T"
Mg 5.375 5.993 0.868
Nb 6.305 6.255 4.211
Nb 8.532 4.694 -0.018
Nb 5.913 3.083 2.035
Nb 9.041 7.939 2.153
V 3.567 1.855 1.250
O 4.584 3.656 0.644
O 5.935 5.001 2.550
O 7.313 7.373 3.065
O 7.578 3.152 1.020
O 7.717 8.324 0.573
O 8.942 5.877 1.365
O 9.070 9.816 2.570
O 10.038 7.309 3.682
O 10.455 12.061 3.156
O 10.592 7.908 0.932
O 11.868 10.578 1.334
O 13.110 11.921 3.790
```

## Properties
- Space group: P1, No. 1
- Crystal system: triclinic
- Volume: 231.34 Å³/cell

***

According to the calculations, the structures order from most to least stable as *w*, *x*.

***

*w*
MgNbV3O8 after structural relaxation, computed with PBE+U.

Cell and atoms, written as extended XYZ:
```
13
Lattice="6.635 -0.068 0.051 -5.399 3.873 -0.052 -1.909 0.623 6.470" Properties=species:S:1:pos:R:3 pbc="T T T"
Mg 3.292 1.035 6.402
Nb 2.533 1.273 1.871
V -1.094 2.470 2.106
V 0.618 1.894 4.494
V -3.118 3.129 4.448
O -4.976 3.729 4.482
O -3.134 3.131 2.250
O -2.719 3.002 6.420
O -1.193 2.496 4.021
O 0.811 1.836 2.394
O 2.381 1.319 0.086
O 2.667 1.233 4.454
O 4.579 0.611 1.841
```

## Properties
- Space group: P1, No. 1
- Crystal system: triclinic
- Volume: 164.29 Å³/cell

***

*x*
MgNbV3O8 after structural relaxation, computed with PBE+U.

Cell and atoms, written as extended XYZ:
```
13
Lattice="6.627 -0.049 0.018 -5.382 3.865 -0.018 -1.940 0.632 6.628" Properties=species:S:1:pos:R:3 pbc="T T T"
Mg -5.143 3.788 6.591
Nb 2.480 1.303 2.146
V -1.201 2.503 2.033
V 0.499 1.949 4.459
V -3.045 3.104 4.830
O -5.027 3.750 4.648
O -3.282 3.181 2.031
O -1.251 2.519 0.067
O -1.303 2.536 4.124
O 0.669 1.893 2.412
O 2.356 1.343 0.120
O 2.549 1.280 4.223
O 4.404 0.676 2.139
```

## Properties
- Space group: Cm, No. 8
- Crystal system: monoclinic
- Volume: 168.19 Å³/cell

***

According to the calculations, the structures order from most to least stable as *w*, *x*.

***

*w*
MgNi2O4 after structural relaxation, computed with PBE+U.

Cell and atoms, written as extended XYZ:
```
28
Lattice="4.916 0.000 0.000 0.000 5.748 0.000 0.000 0.000 10.079" Properties=species:S:1:pos:R:3 pbc="T T T"
Mg 1.649 0.000 5.039
Mg 3.267 2.874 0.000
Mg 4.909 0.000 0.000
Mg 0.007 2.874 5.039
Ni 0.064 2.874 2.406
Ni 0.064 2.874 7.673
Ni 4.851 0.000 2.634
Ni 4.851 0.000 7.445
Ni 2.458 1.437 2.520
Ni 2.458 4.311 7.559
Ni 2.458 4.311 2.520
Ni 2.458 1.437 7.559
O 1.759 2.874 1.505
O 1.759 2.874 8.573
O 3.156 0.000 3.534
O 3.156 0.000 6.544
O 3.489 2.874 3.533
O 3.489 2.874 6.546
O 1.427 0.000 1.506
O 1.427 0.000 8.572
O 0.869 1.436 3.669
O 0.869 4.312 6.409
O 4.047 4.310 1.370
O 4.047 1.438 8.708
O 4.047 1.438 1.370
O 4.047 4.310 8.708
O 0.869 4.312 3.669
O 0.869 1.436 6.409
```

## Properties
- Space group: Pmmn, No. 59
- Crystal system: orthorhombic
- Volume: 284.77 Å³/cell

***

*x*
MgNi2O4 after structural relaxation, computed with PBE+U.

Cell and atoms, written as extended XYZ:
```
28
Lattice="2.928 0.000 0.000 0.000 9.289 0.000 0.000 0.000 9.529" Properties=species:S:1:pos:R:3 pbc="T T T"
Mg 2.354 2.322 8.128
Mg 2.354 6.966 6.166
Mg 0.573 2.322 3.363
Mg 0.573 6.966 1.401
Ni 0.807 0.652 5.845
Ni 0.807 5.297 8.448
Ni 2.121 5.297 3.684
Ni 0.807 8.636 8.448
Ni 2.121 8.636 3.684
Ni 0.807 3.992 5.845
Ni 2.121 3.992 1.081
Ni 2.121 0.652 1.081
O 2.118 3.592 4.504
O 0.810 5.697 5.026
O 2.485 4.644 7.147
O 0.810 3.592 9.268
O 0.810 1.052 9.268
O 0.888 6.966 7.577
O 2.118 5.697 0.261
O 2.039 6.966 2.812
O 2.485 0.000 7.147
O 0.443 4.644 2.382
O 2.118 1.052 4.504
O 2.039 2.322 1.952
O 0.888 2.322 6.717
O 0.443 0.000 2.382
O 2.118 8.236 0.261
O 0.810 8.236 5.026
```

## Properties
- Space group: Pbcm, No. 57
- Crystal system: orthorhombic
- Volume: 259.14 Å³/cell

***

*y*
MgNi2O4 after structural relaxation, computed with PBE+U.

Cell and atoms, written as extended XYZ:
```
28
Lattice="-2.472 1.490 0.252 -2.557 -5.314 6.341 4.381 6.103 6.881" Properties=species:S:1:pos:R:3 pbc="T T T"
Mg 1.155 1.538 10.558
Mg -1.803 0.741 2.915
Mg 1.652 3.106 6.160
Mg -2.299 -0.827 7.314
Ni -1.562 -0.077 10.113
Ni -1.678 -2.132 4.468
Ni 1.031 4.410 9.006
Ni 0.914 2.356 3.361
Ni 3.103 5.449 6.534
Ni -3.750 -3.171 6.939
Ni 0.644 1.149 7.852
Ni -1.292 1.130 5.622
O -0.369 2.477 6.708
O -0.278 -0.198 6.766
O -0.113 1.958 12.289
O -0.535 0.321 1.184
O -2.270 -0.387 4.995
O 1.623 2.665 8.479
O -0.664 2.727 2.339
O 0.017 -0.448 11.135
O 0.169 3.723 4.622
O -0.817 -1.444 8.852
O 0.796 3.720 10.786
O -1.444 -1.441 2.688
O 0.058 0.808 4.114
O -0.706 1.470 9.360
O 1.210 5.015 7.190
O -1.858 -2.736 6.284
```

## Properties
- Space group: Pnma, No. 62
- Crystal system: orthorhombic
- Volume: 255.56 Å³/cell

***

*z*
MgNi2O4 after structural relaxation, computed with PBE+U.

Cell and atoms, written as extended XYZ:
```
14
Lattice="-0.271 5.004 2.956 -5.515 0.457 -1.797 1.620 -4.807 2.849" Properties=species:S:1:pos:R:3 pbc="T T T"
Mg -2.758 0.228 -0.898
Mg 0.810 -2.404 1.425
Ni -3.727 -0.128 2.402
Ni -0.439 0.782 1.607
Ni -1.947 -2.175 0.526
Ni -2.893 2.731 0.580
O -0.845 1.550 3.278
O -2.555 -3.137 2.231
O 0.069 -3.360 3.089
O -0.708 -1.075 1.732
O -3.458 1.728 2.276
O -1.611 3.791 1.777
O -4.235 4.014 0.920
O -3.321 -0.896 0.730
```

## Properties
- Space group: Imma, No. 74
- Crystal system: orthorhombic
- Volume: 142.25 Å³/cell

***

According to the calculations, the structures order from most to least stable as *x*, *y*, *w*, *z*.